The following is a DFT calculation (PBE) of a relaxed NaSbO2F4 crystal.

Cell: 5.4495 5.4495 9.8708 Å, 89.72 89.72 119.39°
Fractional coordinates of all 16 atoms:
1 Na 0.0040 0.9886 0.4984
2 Na 0.9886 0.0040 0.9984
3 Sb 0.3278 0.6515 0.2502
4 Sb 0.6515 0.3278 0.7502
5 O 0.6138 0.9842 0.3488
6 O 0.9842 0.6138 0.8488
7 O 0.9942 0.3765 0.6572
8 O 0.3765 0.9942 0.1572
9 F 0.0323 0.6496 0.3636
10 F 0.3242 0.3647 0.3663
11 F 0.6496 0.0323 0.8636
12 F 0.3647 0.3242 0.8663
13 F 0.3730 0.0473 0.6332
14 F 0.6535 0.6187 0.6326
15 F 0.0473 0.3730 0.1332
16 F 0.6187 0.6535 0.1326

## Properties
As for the total energy: -4.5095 eV/atom. As for the formation enthalpy at 0 K: -196.5 kJ per mole of atoms. Its volume is 255.40 Å³/cell.

The following is a DFT calculation (PBE) of a relaxed Na5Sm4Si4O16F crystal.

Cell: 8.8548 8.8548 8.8548 Å, 95.51 95.51 143.88°
Fractional coordinates of all 30 atoms:
1 Na 0.5813 0.0968 0.6943
2 Na 0.4024 0.8870 0.3057
3 Na 0.1130 0.4187 0.5154
4 Na 0.9032 0.5976 0.4846
5 Na 0.0000 0.0000 0.0000
6 Sm 0.5966 0.6638 0.3004
7 Sm 0.3634 0.2961 0.6996
8 Sm 0.7039 0.4034 0.0672
9 Sm 0.3362 0.6366 0.9328
10 Si 0.7622 0.9069 0.6502
11 Si 0.2567 0.1120 0.3498
12 Si 0.8880 0.2378 0.1447
13 Si 0.0931 0.7433 0.8553
14 O 0.5997 0.8777 0.5073
15 O 0.3704 0.0924 0.4927
16 O 0.9076 0.4003 0.2780
17 O 0.1223 0.6296 0.7220
18 O 0.5777 0.7193 0.7634
19 O 0.9559 0.8143 0.2366
20 O 0.1857 0.4223 0.1416
21 O 0.2807 0.0441 0.8584
22 O 0.0481 0.2207 0.7569
23 O 0.4637 0.2912 0.2431
24 O 0.7088 0.9519 0.1726
25 O 0.7793 0.5363 0.8274
26 O 0.8520 0.8215 0.5651
27 O 0.2564 0.2869 0.4349
28 O 0.7131 0.1480 0.9695
29 O 0.1785 0.7436 0.0305
30 F 0.5000 0.5000 0.0000

## Properties
As for the total energy: -7.1866 eV/atom. As for the formation enthalpy at 0 K: -317.7 kJ per mole of atoms. Its volume is 389.06 Å³/cell.

The following is a DFT calculation (PBE) of a relaxed Na5Tb4Si4O16F crystal.

Cell: 8.7393 8.7393 8.7393 Å, 95.58 95.58 143.66°
Fractional coordinates of all 30 atoms:
1 Na 0.1122 0.5967 0.6945
2 Na 0.9022 0.4177 0.3055
3 Na 0.4033 0.0978 0.5155
4 Na 0.5823 0.8878 0.4845
5 Na 0.0000 0.0000 0.0000
6 Tb 0.7047 0.6374 0.2988
7 Tb 0.3386 0.4059 0.7012
8 Tb 0.3626 0.6614 0.0673
9 Tb 0.5941 0.2953 0.9327
10 Si 0.8862 0.7427 0.6497
11 Si 0.0930 0.2365 0.3503
12 Si 0.2573 0.9070 0.1435
13 Si 0.7635 0.1138 0.8565
14 O 0.9036 0.6257 0.5042
15 O 0.1215 0.3994 0.4958
16 O 0.3743 0.8785 0.2780
17 O 0.6006 0.0964 0.7220
18 O 0.1871 0.0471 0.7637
19 O 0.2834 0.4234 0.2363
20 O 0.9529 0.7166 0.1400
21 O 0.5766 0.8129 0.8600
22 O 0.7078 0.5366 0.7596
23 O 0.7770 0.9482 0.2404
24 O 0.4634 0.2230 0.1712
25 O 0.0518 0.2922 0.8288
26 O 0.7035 0.7358 0.5619
27 O 0.1739 0.1416 0.4381
28 O 0.2642 0.8261 0.9677
29 O 0.8584 0.2965 0.0323
30 F 0.5000 0.5000 0.0000

## Properties
As for the total energy: -7.2029 eV/atom. As for the formation enthalpy at 0 K: -320.4 kJ per mole of atoms. Its volume is 375.84 Å³/cell.

The following is a DFT calculation (PBE) of a relaxed Na5Tm4Si4O16F crystal.

Cell: 8.6023 8.6023 8.6023 Å, 95.66 95.66 143.40°
Fractional coordinates of all 30 atoms:
1 Na 0.5835 0.0992 0.6942
2 Na 0.4049 0.8893 0.3058
3 Na 0.1107 0.4165 0.5157
4 Na 0.9008 0.5951 0.4844
5 Na 0.0000 0.0000 0.0000
6 Tm 0.5919 0.6586 0.2970
7 Tm 0.3616 0.2949 0.7030
8 Tm 0.7051 0.4081 0.0667
9 Tm 0.3414 0.6384 0.9333
10 Si 0.7646 0.9070 0.6497
11 Si 0.2573 0.1149 0.3503
12 Si 0.8851 0.2354 0.1424
13 Si 0.0930 0.7427 0.8576
14 O 0.5995 0.8773 0.5013
15 O 0.3760 0.0982 0.4987
16 O 0.9018 0.4005 0.2778
17 O 0.1227 0.6240 0.7222
18 O 0.5763 0.7139 0.7648
19 O 0.9491 0.8115 0.2352
20 O 0.1885 0.4237 0.1376
21 O 0.2861 0.0509 0.8624
22 O 0.0556 0.2261 0.7631
23 O 0.4630 0.2924 0.2369
24 O 0.7076 0.9444 0.1705
25 O 0.7739 0.5370 0.8295
26 O 0.8649 0.8308 0.5586
27 O 0.2722 0.3063 0.4414
28 O 0.6937 0.1351 0.9659
29 O 0.1692 0.7278 0.0341
30 F 0.5000 0.5000 0.0000

## Properties
As for the total energy: -7.1979 eV/atom. As for the formation enthalpy at 0 K: -321.9 kJ per mole of atoms. Its volume is 360.32 Å³/cell.

The following is a DFT calculation (PBE) of a relaxed Na9U3Si4O20F2 crystal.

Cell: 5.9467 7.4835 12.0455 Å, 89.95 84.72 89.99°
Fractional coordinates of all 38 atoms:
1 Na 0.0000 0.5000 0.0000
2 Na 0.2857 0.0001 0.2807
3 Na 0.7143 0.9999 0.7193
4 Na 0.5001 0.2607 0.0000
5 Na 0.4999 0.7393 0.0000
6 Na 0.9999 0.7675 0.4999
7 Na 0.0001 0.2325 0.5001
8 Na 0.5001 0.2310 0.5000
9 Na 0.4999 0.7690 0.5000
10 U 0.0000 0.0000 0.0000
11 U 0.7139 0.5002 0.7170
12 U 0.2861 0.4998 0.2830
13 Si 0.2026 0.2150 0.7646
14 Si 0.7974 0.7850 0.2354
15 Si 0.2024 0.7854 0.7647
16 Si 0.7976 0.2146 0.2353
17 O 0.1716 0.2359 0.9006
18 O 0.8284 0.7641 0.0994
19 O 0.9886 0.2940 0.7034
20 O 0.0114 0.7060 0.2966
21 O 0.4484 0.2870 0.7099
22 O 0.5516 0.7130 0.2901
23 O 0.2007 0.0002 0.7368
24 O 0.7993 0.9998 0.2632
25 O 0.9884 0.7066 0.7034
26 O 0.0116 0.2934 0.2966
27 O 0.1712 0.7641 0.9007
28 O 0.8288 0.2359 0.0993
29 O 0.4483 0.7135 0.7101
30 O 0.5517 0.2865 0.2899
31 O 0.2531 0.9997 0.0852
32 O 0.7469 0.0003 0.9148
33 O 0.7370 0.5007 0.5579
34 O 0.2630 0.4993 0.4421
35 O 0.6871 0.4999 0.8757
36 O 0.3129 0.5001 0.1243
37 F 0.2562 0.9998 0.4666
38 F 0.7438 0.0002 0.5334

## Properties
As for the total energy: -7.1770 eV/atom. As for the formation enthalpy at 0 K: -297.4 kJ per mole of atoms. Its volume is 533.78 Å³/cell.

The following is a DFT calculation (PBE) of a relaxed Na3U2O10F7 crystal.

Cell: 7.1830 7.8207 8.8475 Å, 67.00 76.46 74.03°
Fractional coordinates of all 22 atoms:
1 Na 0.4496 0.8472 0.9599
2 Na 0.5504 0.1528 0.0401
3 Na 0.5000 0.0000 0.5000
4 U 0.9920 0.9997 0.7313
5 U 0.0080 0.0003 0.2687
6 O 0.0257 0.7439 0.8104
7 O 0.9743 0.2561 0.1896
8 O 0.9577 0.2547 0.6545
9 O 0.0423 0.7453 0.3455
10 O 0.3993 0.4474 0.7138
11 O 0.6007 0.5526 0.2862
12 O 0.4720 0.4594 0.3349
13 O 0.5280 0.5406 0.6651
14 O 0.5805 0.5185 0.9602
15 O 0.4195 0.4815 0.0398
16 F 0.0000 0.0000 0.0000
17 F 0.3154 0.9654 0.7397
18 F 0.6846 0.0346 0.2603
19 F 0.6754 0.0215 0.8546
20 F 0.3246 0.9785 0.1454
21 F 0.8127 0.0069 0.5315
22 F 0.1873 0.9931 0.4685

## Properties
As for the total energy: -6.2546 eV/atom. As for the formation enthalpy at 0 K: -232.5 kJ per mole of atoms. Its volume is 435.35 Å³/cell.